1.
Below is an optimized crystal structure of Rb2Th3MgMo8O32, with properties calculated at the GGA+U level.

```
data_Rb2Th3MgMo8O32
_chemical_formula_sum 'Rb4 Th6 Mg2 Mo16 O64'
_symmetry_space_group_name_H-M 'P 1'
_symmetry_Int_Tables_number 1
_cell_length_a 9.606
_cell_length_b 13.207
_cell_length_c 13.207
_cell_angle_alpha 88.29
_cell_angle_beta 90.15
_cell_angle_gamma 90.15
loop_
_symmetry_equiv_pos_as_xyz
'x,y,z'
loop_
_atom_site_label
_atom_site_type_symbol
_atom_site_fract_x
_atom_site_fract_y
_atom_site_fract_z
O1 O 0.665 0.884 0.961
O2 O 0.868 0.627 0.866
Mo1 Mo 0.253 0.967 0.609
Mo2 Mo 0.452 0.094 0.144
O3 O 0.423 0.805 0.856
Mo3 Mo 0.247 0.391 0.033
O4 O 0.345 0.239 0.416
Mo4 Mo 0.464 0.346 0.412
O5 O 0.651 0.377 0.733
O6 O 0.585 0.335 0.515
Mo5 Mo 0.529 0.351 0.831
Mo6 Mo 0.747 0.033 0.391
Rb1 Rb 0.062 0.623 0.141
O7 O 0.577 0.195 0.144
O8 O 0.214 0.295 0.941
O9 O 0.874 0.054 0.672
O10 O 0.463 0.025 0.872
O11 O 0.714 0.941 0.295
O12 O 0.151 0.733 0.377
O13 O 0.087 0.153 0.545
O14 O 0.632 0.134 0.373
O15 O 0.786 0.705 0.059
O16 O 0.963 0.872 0.025
O17 O 0.147 0.741 0.913
Mo7 Mo 0.536 0.654 0.588
O18 O 0.863 0.427 0.457
O19 O 0.368 0.866 0.627
O20 O 0.626 0.328 0.946
Th1 Th 0.660 0.369 0.131
O21 O 0.913 0.847 0.455
O22 O 0.054 0.291 0.357
Mg1 Mg 0.250 0.589 0.411
O23 O 0.647 0.913 0.741
O24 O 0.930 0.800 0.237
Mo8 Mo 0.048 0.856 0.906
Mo9 Mo 0.971 0.169 0.649
Th2 Th 0.250 0.130 0.870
O25 O 0.422 0.386 0.083
O26 O 0.070 0.200 0.763
O27 O 0.155 0.584 0.761
O28 O 0.446 0.643 0.709
Mo10 Mo 0.952 0.144 0.094
O29 O 0.374 0.672 0.054
Rb2 Rb 0.562 0.141 0.623
O30 O 0.922 0.083 0.386
O31 O 0.707 0.979 0.517
O32 O 0.849 0.267 0.623
O33 O 0.570 0.763 0.200
O34 O 0.293 0.021 0.483
Th3 Th 0.160 0.131 0.369
O35 O 0.349 0.623 0.267
O36 O 0.578 0.614 0.917
O37 O 0.363 0.457 0.427
O38 O 0.415 0.665 0.485
O39 O 0.413 0.455 0.847
O40 O 0.078 0.917 0.614
Th4 Th 0.750 0.870 0.130
O41 O 0.137 0.573 0.543
Mo11 Mo 0.964 0.412 0.346
O42 O 0.853 0.259 0.087
O43 O 0.946 0.709 0.643
Mo12 Mo 0.548 0.906 0.856
O44 O 0.207 0.517 0.979
O45 O 0.335 0.116 0.039
O46 O 0.430 0.237 0.800
Rb3 Rb 0.438 0.859 0.377
O47 O 0.165 0.961 0.884
Mo13 Mo 0.036 0.588 0.654
O48 O 0.655 0.761 0.584
O49 O 0.126 0.946 0.328
Mo14 Mo 0.029 0.831 0.351
O50 O 0.637 0.543 0.573
O51 O 0.037 0.128 0.975
O52 O 0.132 0.373 0.134
Th5 Th 0.840 0.869 0.631
O53 O 0.923 0.856 0.805
O54 O 0.077 0.144 0.195
O55 O 0.587 0.545 0.153
Mo15 Mo 0.471 0.649 0.169
O56 O 0.537 0.975 0.128
Rb4 Rb 0.938 0.377 0.859
O57 O 0.353 0.087 0.259
Mo16 Mo 0.753 0.609 0.967
O58 O 0.915 0.485 0.665
O59 O 0.793 0.483 0.021
O60 O 0.845 0.416 0.239
Mg2 Mg 0.750 0.411 0.589
O61 O 0.835 0.039 0.116
O62 O 0.286 0.059 0.705
O63 O 0.554 0.357 0.291
O64 O 0.085 0.515 0.335
Th6 Th 0.340 0.631 0.869
```

Summary:
* crystal system: monoclinic
* space-group type: C2/c, No. 15
* energy: -7.418 eV/atom
* ΔE_f: -2564 meV per atom


2.
Below is an optimized crystal structure of Li4V3P8O29, with properties calculated at the GGA+U level.

```
data_Li4V3P8O29
_chemical_formula_sum 'Li8 V6 P16 O58'
_symmetry_space_group_name_H-M 'P 1'
_symmetry_Int_Tables_number 1
_cell_length_a 9.790
_cell_length_b 9.826
_cell_length_c 14.233
_cell_angle_alpha 89.76
_cell_angle_beta 89.75
_cell_angle_gamma 60.22
loop_
_symmetry_equiv_pos_as_xyz
'x,y,z'
loop_
_atom_site_label
_atom_site_type_symbol
_atom_site_fract_x
_atom_site_fract_y
_atom_site_fract_z
O1 O 0.768 0.005 0.580
V1 V 0.006 0.430 0.243
O2 O 0.483 0.334 0.674
O3 O 0.245 0.986 0.070
O4 O 0.657 0.087 0.336
O5 O 0.254 0.656 0.331
O6 O 0.012 0.748 0.434
P1 P 0.767 0.323 0.161
P2 P 0.329 0.338 0.631
P3 P 0.319 0.912 0.160
V2 V 0.996 0.569 0.755
O7 O 0.618 0.904 0.678
O8 O 0.519 0.102 0.822
O9 O 0.253 0.085 0.838
O10 O 0.479 0.905 0.177
Li1 Li 0.686 0.220 0.552
O11 O 0.334 0.488 0.171
Li2 Li 0.687 0.087 0.064
O12 O 0.094 0.521 0.321
V3 V 0.569 0.998 0.252
O13 O 0.662 0.258 0.832
O14 O 0.749 0.915 0.160
O15 O 0.244 0.751 0.931
O16 O 0.488 0.187 0.166
P4 P 0.085 0.680 0.342
O17 O 0.672 0.807 0.328
O18 O 0.912 0.345 0.164
O19 O 0.383 0.520 0.821
O20 O 0.326 0.347 0.025
Li3 Li 0.777 0.313 0.948
O21 O 0.079 0.257 0.332
Li4 Li 0.086 0.688 0.556
O22 O 0.758 0.244 0.073
Li5 Li 0.906 0.322 0.434
O23 O 0.905 0.618 0.177
O24 O 0.916 0.745 0.665
O25 O 0.087 0.658 0.833
O26 O 0.821 0.509 0.329
O27 O 0.523 0.660 0.326
P5 P 0.229 0.090 0.340
O28 O 0.905 0.480 0.678
O29 O 0.341 0.743 0.166
P6 P 0.232 0.680 0.841
O30 O 0.749 0.022 0.936
P7 P 0.085 0.230 0.839
O31 O 0.515 0.812 0.832
P8 P 0.915 0.770 0.161
Li6 Li 0.309 0.916 0.944
V4 V 0.565 0.434 0.749
P9 P 0.678 0.090 0.844
P10 P 0.679 0.231 0.339
P11 P 0.339 0.337 0.129
O32 O 0.674 0.647 0.973
V5 V 0.433 0.002 0.748
O33 O 0.095 0.383 0.821
O34 O 0.337 0.916 0.659
O35 O 0.233 0.756 0.577
O36 O 0.746 0.340 0.660
O37 O 0.991 0.241 0.922
O38 O 0.996 0.248 0.567
O39 O 0.815 0.663 0.824
P12 P 0.675 0.661 0.371
O40 O 0.182 0.487 0.673
O41 O 0.013 0.758 0.078
O42 O 0.789 0.212 0.250
V6 V 0.433 0.572 0.257
O43 O 0.794 0.991 0.758
O44 O 0.478 0.618 0.679
P13 P 0.316 0.770 0.660
P14 P 0.664 0.664 0.870
O45 O 0.187 0.337 0.175
O46 O 0.226 0.017 0.430
O47 O 0.756 0.243 0.428
O48 O 0.990 0.794 0.256
Li7 Li 0.226 0.083 0.555
O49 O 0.615 0.480 0.178
P15 P 0.913 0.321 0.657
Li8 Li 0.230 0.676 0.063
O50 O 0.520 0.382 0.323
O51 O 0.670 0.649 0.474
O52 O 0.215 0.794 0.756
O53 O 0.668 0.513 0.825
O54 O 0.336 0.343 0.527
O55 O 0.326 0.189 0.668
O56 O 0.006 0.208 0.744
O57 O 0.210 0.999 0.250
O58 O 0.376 0.104 0.321
P16 P 0.771 0.914 0.664
```

Summary:
* crystal system: triclinic
* space-group type: P1, No. 1
* energy: -7.042 eV/atom
* ΔE_f: -2572 meV per atom


3.
Below is an optimized crystal structure of ZnW4O6, with properties calculated at the GGA+U level.

```
data_ZnW4O6
_chemical_formula_sum 'Zn2 W8 O12'
_symmetry_space_group_name_H-M 'P 1'
_symmetry_Int_Tables_number 1
_cell_length_a 5.680
_cell_length_b 5.680
_cell_length_c 16.542
_cell_angle_alpha 90.00
_cell_angle_beta 90.00
_cell_angle_gamma 146.68
loop_
_symmetry_equiv_pos_as_xyz
'x,y,z'
loop_
_atom_site_label
_atom_site_type_symbol
_atom_site_fract_x
_atom_site_fract_y
_atom_site_fract_z
O1 O 0.992 0.008 0.856
O2 O 0.307 0.693 0.250
Zn1 Zn 0.692 0.308 0.250
O3 O 0.732 0.268 0.124
O4 O 0.732 0.268 0.376
O5 O 0.500 0.500 0.000
O6 O 0.008 0.992 0.144
O7 O 0.500 0.500 0.500
W1 W 0.614 0.386 0.867
O8 O 0.693 0.307 0.750
O9 O 0.008 0.992 0.356
W2 W 0.862 0.138 0.950
W3 W 0.614 0.386 0.633
W4 W 0.386 0.614 0.367
W5 W 0.138 0.862 0.450
Zn2 Zn 0.308 0.692 0.750
O10 O 0.268 0.732 0.624
W6 W 0.386 0.614 0.133
W7 W 0.862 0.138 0.550
W8 W 0.138 0.862 0.050
O11 O 0.268 0.732 0.876
O12 O 0.992 0.008 0.644
```

Summary:
* crystal system: orthorhombic
* space-group type: Cmcm, No. 63
* energy: -6.493 eV/atom
* ΔE_f: -956 meV per atom


4.
Below is an optimized crystal structure of Li2VPCO7, with properties calculated at the GGA+U level.

```
data_Li2VPCO7
_chemical_formula_sum 'Li8 V4 P4 C4 O28'
_symmetry_space_group_name_H-M 'P 1'
_symmetry_Int_Tables_number 1
_cell_length_a 6.401
_cell_length_b 9.682
_cell_length_c 10.064
_cell_angle_alpha 117.34
_cell_angle_beta 90.00
_cell_angle_gamma 90.00
loop_
_symmetry_equiv_pos_as_xyz
'x,y,z'
loop_
_atom_site_label
_atom_site_type_symbol
_atom_site_fract_x
_atom_site_fract_y
_atom_site_fract_z
V1 V 0.250 0.656 0.930
V2 V 0.250 0.656 0.430
O1 O 0.750 0.169 0.851
O2 O 0.058 0.325 0.578
C1 C 0.750 0.060 0.397
C2 C 0.750 0.060 0.897
O3 O 0.250 0.831 0.149
C3 C 0.250 0.940 0.603
Li1 Li 0.003 0.783 0.278
O4 O 0.942 0.674 0.422
Li2 Li 0.997 0.217 0.222
O5 O 0.750 0.416 0.793
O6 O 0.750 0.116 0.043
Li3 Li 0.503 0.217 0.721
Li4 Li 0.497 0.783 0.778
O7 O 0.250 0.884 0.457
Li5 Li 0.997 0.217 0.721
O8 O 0.750 0.916 0.307
O9 O 0.250 0.584 0.207
Li6 Li 0.503 0.217 0.222
O10 O 0.750 0.563 0.075
O11 O 0.942 0.675 0.922
O12 O 0.750 0.169 0.351
Li7 Li 0.003 0.783 0.778
P1 P 0.750 0.581 0.430
V3 V 0.750 0.344 0.570
O13 O 0.250 0.884 0.957
O14 O 0.750 0.916 0.807
V4 V 0.750 0.344 0.070
Li8 Li 0.497 0.783 0.278
C4 C 0.250 0.940 0.103
O15 O 0.750 0.416 0.293
O16 O 0.250 0.437 0.426
P2 P 0.250 0.419 0.070
P3 P 0.250 0.418 0.570
O17 O 0.558 0.674 0.422
O18 O 0.750 0.116 0.543
O19 O 0.558 0.675 0.922
O20 O 0.250 0.437 0.925
O21 O 0.250 0.084 0.193
O22 O 0.250 0.584 0.707
O23 O 0.442 0.325 0.578
P4 P 0.750 0.582 0.930
O24 O 0.250 0.831 0.649
O25 O 0.443 0.326 0.078
O26 O 0.058 0.326 0.078
O27 O 0.250 0.084 0.693
O28 O 0.750 0.563 0.575
```

Summary:
* energy: -7.097 eV/atom
* ΔE_f: -2457 meV per atom


5.
Below is an optimized crystal structure of Fe10O9F11, with properties calculated at the GGA+U level.

```
data_Fe10O9F11
_chemical_formula_sum 'Fe10 O9 F11'
_symmetry_space_group_name_H-M 'P 1'
_symmetry_Int_Tables_number 1
_cell_length_a 4.760
_cell_length_b 4.760
_cell_length_c 15.497
_cell_angle_alpha 89.86
_cell_angle_beta 89.86
_cell_angle_gamma 92.21
loop_
_symmetry_equiv_pos_as_xyz
'x,y,z'
loop_
_atom_site_label
_atom_site_type_symbol
_atom_site_fract_x
_atom_site_fract_y
_atom_site_fract_z
F1 F 0.194 0.799 0.200
F2 F 0.810 0.186 0.200
Fe1 Fe 0.025 0.975 0.500
Fe2 Fe 0.006 0.985 0.697
F3 F 0.288 0.290 0.102
Fe3 Fe 0.519 0.502 0.202
F4 F 0.201 0.806 0.800
F5 F 0.786 0.214 0.000
F6 F 0.306 0.314 0.500
O1 O 0.679 0.677 0.101
Fe4 Fe 0.498 0.481 0.798
O2 O 0.298 0.296 0.701
F7 F 0.802 0.194 0.595
Fe5 Fe 0.036 0.020 0.909
Fe6 Fe 0.477 0.524 0.388
Fe7 Fe 0.015 0.994 0.303
Fe8 Fe 0.477 0.523 0.000
O3 O 0.323 0.321 0.899
F8 F 0.814 0.190 0.800
F9 F 0.686 0.694 0.500
Fe9 Fe 0.476 0.523 0.612
O4 O 0.189 0.806 0.598
O5 O 0.194 0.811 0.402
O6 O 0.704 0.702 0.299
F10 F 0.710 0.712 0.898
O7 O 0.201 0.799 0.000
Fe10 Fe 0.980 0.964 0.091
O8 O 0.697 0.696 0.703
O9 O 0.304 0.303 0.297
F11 F 0.806 0.198 0.405
```

Summary:
* crystal system: monoclinic
* space-group type: C2, No. 5
* energy: -5.950 eV/atom
* ΔE_f: -2067 meV per atom


6.
Below is an optimized crystal structure of NiPO5, with properties calculated at the GGA+U level.

```
data_NiPO5
_chemical_formula_sum 'Ni2 P2 O10'
_symmetry_space_group_name_H-M 'P 1'
_symmetry_Int_Tables_number 1
_cell_length_a 4.909
_cell_length_b 5.546
_cell_length_c 8.034
_cell_angle_alpha 70.90
_cell_angle_beta 90.00
_cell_angle_gamma 90.00
loop_
_symmetry_equiv_pos_as_xyz
'x,y,z'
loop_
_atom_site_label
_atom_site_type_symbol
_atom_site_fract_x
_atom_site_fract_y
_atom_site_fract_z
O1 O 0.497 0.911 0.121
Ni1 Ni 0.285 0.239 0.021
O2 O 0.997 0.089 0.879
O3 O 0.995 0.525 0.880
O4 O 0.886 0.449 0.585
P1 P 0.850 0.351 0.786
Ni2 Ni 0.785 0.761 0.979
O5 O 0.017 0.150 0.197
P2 P 0.350 0.649 0.214
O6 O 0.517 0.850 0.803
O7 O 0.039 0.666 0.184
O8 O 0.539 0.334 0.816
O9 O 0.495 0.475 0.120
O10 O 0.386 0.551 0.415
```

Summary:
* crystal system: monoclinic
* space-group type: P2_1, No. 4
* energy: -5.636 eV/atom
* ΔE_f: -1356 meV per atom


7.
Below is an optimized crystal structure of Li3Cr2P3O12, with properties calculated at the GGA+U level.

```
data_Li3Cr2P3O12
_chemical_formula_sum 'Li12 Cr8 P12 O48'
_symmetry_space_group_name_H-M 'P 1'
_symmetry_Int_Tables_number 1
_cell_length_a 8.726
_cell_length_b 8.684
_cell_length_c 14.918
_cell_angle_alpha 54.36
_cell_angle_beta 90.00
_cell_angle_gamma 90.00
loop_
_symmetry_equiv_pos_as_xyz
'x,y,z'
loop_
_atom_site_label
_atom_site_type_symbol
_atom_site_fract_x
_atom_site_fract_y
_atom_site_fract_z
O1 O 0.099 0.237 0.837
O2 O 0.363 0.447 0.432
O3 O 0.322 0.478 0.593
Cr1 Cr 0.957 0.135 0.613
Li1 Li 0.908 0.389 0.697
Cr2 Cr 0.036 0.637 0.112
Li2 Li 0.710 0.671 0.247
P1 P 0.891 0.251 0.352
O4 O 0.013 0.407 0.277
O5 O 0.562 0.124 0.533
O6 O 0.581 0.185 0.970
O7 O 0.062 0.876 0.967
O8 O 0.774 0.334 0.814
O9 O 0.341 0.268 0.074
O10 O 0.236 0.033 0.314
O11 O 0.642 0.375 0.075
O12 O 0.987 0.593 0.723
O13 O 0.637 0.553 0.568
Li3 Li 0.092 0.611 0.303
P2 P 0.600 0.957 0.648
O14 O 0.178 0.478 0.093
Cr3 Cr 0.043 0.865 0.387
Cr4 Cr 0.457 0.865 0.887
Li4 Li 0.592 0.389 0.197
O15 O 0.938 0.124 0.033
O16 O 0.438 0.876 0.467
O17 O 0.081 0.815 0.530
Li5 Li 0.408 0.611 0.803
O18 O 0.764 0.967 0.686
Li6 Li 0.728 0.966 0.323
O19 O 0.419 0.815 0.030
O20 O 0.264 0.033 0.814
O21 O 0.736 0.967 0.186
O22 O 0.142 0.625 0.425
O23 O 0.905 0.090 0.337
Cr5 Cr 0.536 0.363 0.388
O24 O 0.226 0.666 0.186
O25 O 0.405 0.910 0.163
O26 O 0.095 0.910 0.663
P3 P 0.251 0.457 0.006
O27 O 0.659 0.732 0.926
P4 P 0.249 0.457 0.506
O28 O 0.401 0.237 0.337
O29 O 0.841 0.732 0.426
Li7 Li 0.272 0.034 0.677
O30 O 0.513 0.593 0.223
P5 P 0.749 0.543 0.994
O31 O 0.024 0.935 0.230
Cr6 Cr 0.464 0.637 0.612
O32 O 0.524 0.065 0.270
O33 O 0.159 0.268 0.574
O34 O 0.901 0.763 0.163
O35 O 0.858 0.375 0.575
P6 P 0.109 0.749 0.648
P7 P 0.900 0.957 0.148
O36 O 0.726 0.334 0.314
Li8 Li 0.790 0.671 0.747
O37 O 0.595 0.090 0.837
Li9 Li 0.772 0.966 0.823
Li10 Li 0.290 0.329 0.753
O38 O 0.976 0.065 0.770
P8 P 0.609 0.251 0.852
O39 O 0.137 0.447 0.932
Cr7 Cr 0.543 0.135 0.113
O40 O 0.274 0.666 0.686
O41 O 0.678 0.522 0.407
O42 O 0.358 0.625 0.925
Cr8 Cr 0.964 0.363 0.888
Li11 Li 0.228 0.034 0.177
O43 O 0.599 0.763 0.663
O44 O 0.919 0.185 0.470
P9 P 0.400 0.043 0.352
O45 O 0.863 0.553 0.068
P10 P 0.100 0.043 0.852
P11 P 0.751 0.543 0.494
Li12 Li 0.210 0.329 0.253
P12 P 0.391 0.749 0.148
O46 O 0.476 0.935 0.730
O47 O 0.487 0.407 0.777
O48 O 0.822 0.522 0.907
```

Summary:
* crystal system: monoclinic
* space-group type: P2_1/c, No. 14
* energy: -7.084 eV/atom
* ΔE_f: -2663 meV per atom


energy of number 1 (Rb2Th3MgMo8O32)?
-7.418 eV/atom


Which of these has the highest ΔE_f?
ZnW4O6